RbEuCl3: optimized geometry, PBE.

abc: 5.6558 5.6558 5.6558
angles: 90.00 90.00 90.00
Fractional positions:
Rb1 0.5000 0.5000 0.5000
Cl1 0.5000 0.0000 0.0000
Cl2 0.0000 0.5000 0.0000
Cl3 0.0000 0.0000 0.5000
Eu1 0.0000 0.0000 0.0000

* calculated total energy: -5.5423 eV per atom
* M_tot: 1.400 μB/atom
* crystal system: cubic
* space group: Pm-3m (221)